The following is a r²SCAN calculation of a relaxed Ti3Fe5P4 crystal, from the Materials Project database.

Structure (POSCAR):
```
Ti3Fe5P4
1.0
5.929 0.000 0.000
0.000 3.574 0.000
-0.038 0.000 6.777
Ti Fe P
3 5 4
Cartesian
0.000 0.000 0.000
0.259 1.787 4.312
3.190 1.787 3.313
0.982 1.787 1.720
2.173 0.000 5.126
2.929 0.000 1.000
3.932 1.787 5.951
5.170 0.000 2.561
1.441 0.000 2.933
1.749 1.787 6.408
4.398 0.000 4.691
4.693 1.787 1.304
```

## Properties
The value obtained for the total energy is -156.2 eV/f.u. As for the volume: 144 Å³/cell.

---

The following is a r²SCAN calculation of a relaxed TiFeP crystal, from the Materials Project database.

Structure (POSCAR):
```
TiFeP
1.0
5.952 0.000 0.000
0.000 3.599 0.000
0.000 0.000 6.844
Ti Fe P
4 4 4
Cartesian
0.134 0.900 1.230
2.842 2.699 4.653
3.110 0.900 2.192
5.818 2.699 5.614
0.875 0.900 3.836
2.101 2.699 0.414
3.851 0.900 6.430
5.077 2.699 3.008
1.345 2.699 2.581
1.631 0.900 6.004
4.321 2.699 0.841
4.607 0.900 4.263
```

## Properties
The value obtained for the total energy is -39.2 eV/f.u. As for the volume: 147 Å³/cell.

---

The following is a r²SCAN calculation of a relaxed Tm2Fe12P7 crystal, from the Materials Project database.

Structure (POSCAR):
```
Tm2Fe12P7
1.0
9.132 0.000 0.000
-4.566 7.909 0.000
0.000 0.000 3.578
Tm Fe P
2 12 7
Cartesian
0.000 0.000 0.000
0.000 5.273 1.789
-3.031 6.015 1.789
-0.725 2.944 0.000
0.873 2.276 1.789
-1.655 7.065 0.000
3.001 1.856 0.000
4.355 0.475 1.789
2.800 3.900 1.789
2.380 5.809 0.000
2.159 7.527 1.789
6.025 1.671 0.000
4.673 4.382 0.000
6.544 3.534 1.789
-2.090 4.779 0.000
2.157 0.341 1.789
1.472 3.710 0.000
0.618 7.329 0.000
4.566 2.636 1.789
3.783 5.871 1.789
7.759 1.698 1.789
```

## Properties
The value obtained for the total energy is -317.4 eV/f.u. As for the volume: 258 Å³/cell.

---

The following is a r²SCAN calculation of a relaxed UFe2P2 crystal, from the Materials Project database.

Structure (POSCAR):
```
UFe2P2
1.0
-1.915 1.915 4.619
1.915 -1.915 4.619
1.915 1.915 -4.619
U Fe P
1 2 2
Cartesian
0.000 0.000 0.000
1.915 0.000 2.310
0.000 1.915 2.310
0.000 0.000 3.443
0.000 0.000 5.796
```

## Properties
The value obtained for the total energy is -130.3 eV/f.u. As for the volume: 68 Å³/cell.

---

Q: volume of number 1 (Ti3Fe5P4)?
A: 144 Å³/cell

---

Q: Number 2 is which compound?
A: TiFeP